# 1
Sm3Hg PBE-GGA optimized geometry; V = 116.6 Å³/cell; space-group type = I4/mmm (139); ΔE_f = -0.1482 eV per atom; mass density = 9.3 g/cm3
1.0
-2.403 2.403 5.049
2.403 -2.403 5.049
2.403 2.403 -5.049
Sm Hg
3 1
Cartesian
0.000 2.403 2.524
2.403 0.000 2.524
0.000 0.000 5.049
0.000 0.000 0.000

=====

# 2
Sm3Hg PBE-GGA optimized geometry; V = 236.0 Å³/cell; space-group type = P6_3/mmc (194); ΔE_f = -0.1542 eV per atom; mass density = 9.2 g/cm3
1.0
3.519 -6.095 0.000
3.519 6.095 0.000
0.000 0.000 5.502
Sm Hg
6 2
Cartesian
1.840 1.062 1.376
5.198 1.062 1.376
3.519 3.971 1.376
5.198 -1.062 4.127
1.840 -1.062 4.127
3.519 -3.971 4.127
3.519 2.032 4.127
3.519 -2.032 1.376

=====

# 3
SmTmHg2 PBE-GGA optimized geometry; V = 105.0 Å³/cell; space-group type = Fm-3m (225); ΔE_f = -0.4674 eV per atom; mass density = 11.4 g/cm3
1.0
-0.755 -0.018 5.241
-4.152 -2.554 2.068
0.741 -4.454 2.767
Sm Tm Hg
1 1 2
Cartesian
-2.083 -3.513 5.038
0.000 0.000 0.000
-1.042 -1.756 2.519
-3.125 -5.269 7.557

=====

# 4
SmYHg2 PBE-GGA optimized geometry; V = 107.3 Å³/cell; space-group type = Fm-3m (225); ΔE_f = -0.4865 eV per atom; mass density = 9.9 g/cm3
1.0
0.000 3.772 3.772
3.772 0.000 3.772
3.772 3.772 0.000
Sm Y Hg
1 1 2
Cartesian
3.772 3.772 3.772
0.000 0.000 0.000
1.886 1.886 1.886
5.658 5.658 5.658

=====

# 5
Sm2ZnHg PBE-GGA optimized geometry; V = 104.2 Å³/cell; space-group type = Fm-3m (225); ΔE_f = -0.3819 eV per atom; mass density = 9.0 g/cm3
1.0
0.000 3.735 3.735
3.735 0.000 3.735
3.735 3.735 0.000
Sm Zn Hg
2 1 1
Cartesian
1.868 1.868 1.868
5.603 5.603 5.603
0.000 0.000 0.000
3.735 3.735 3.735

=====

# 6
Sn3Hg PBE-GGA optimized geometry; V = 218.4 Å³/cell; space-group type = P6_3/mmc (194); ΔE_f = 0.0645 eV per atom; mass density = 8.5 g/cm3
1.0
0.113 6.756 1.094
-0.321 -4.321 5.300
5.375 -0.126 0.223
Sn Hg
6 2
Cartesian
1.256 -0.345 2.001
1.152 0.875 5.204
1.095 -2.510 4.656
3.911 2.655 4.616
4.016 1.434 1.413
4.072 4.819 1.961
3.855 -0.723 4.065
1.312 3.033 2.552

=====

What is the formula in the sixth record? Sn3Hg